# 1
{
  "formula": "NbPt2",
  "functional": "PBE",
  "state": "optimized geometry",
  "lattice_angstrom": [[-1.413, 2.006, 4.288], [1.413, -2.006, 4.288], [1.413, 2.006, -4.288]],
  "species": ["Nb", "Pt", "Pt"],
  "frac_coords": [[0.000, 0.000, 0.000], [0.336, 0.336, 0.000], [0.664, 0.664, 0.000]],
  "e_form_ev_per_atom": -0.687,
  "vol_a3_per_cell": 49
}

# 2
{
  "formula": "CeSe2",
  "functional": "PBE",
  "state": "optimized geometry",
  "lattice_angstrom": [[21.346, 0.000, 0.000], [-10.673, 18.486, 0.000], [0.000, 0.000, 6.101]],
  "species": ["Ce", "Ce", "Ce", "Ce", "Ce", "Ce", "Ce", "Ce", "Ce", "Ce", "Ce", "Ce", "Se", "Se", "Se", "Se", "Se", "Se", "Se", "Se", "Se", "Se", "Se", "Se", "Se", "Se", "Se", "Se", "Se", "Se", "Se", "Se", "Se", "Se", "Se", "Se"],
  "frac_coords": [[0.131, 0.478, 0.326], [0.131, 0.653, 0.674], [0.347, 0.478, 0.674], [0.347, 0.869, 0.326], [0.478, 0.131, 0.674], [0.478, 0.347, 0.326], [0.522, 0.653, 0.326], [0.522, 0.869, 0.674], [0.653, 0.131, 0.326], [0.653, 0.522, 0.674], [0.869, 0.347, 0.674], [0.869, 0.522, 0.326], [0.000, 0.383, 0.500], [0.000, 0.617, 0.500], [0.112, 0.556, 0.000], [0.209, 0.419, 0.500], [0.209, 0.791, 0.500], [0.217, 0.609, 0.500], [0.383, 0.000, 0.500], [0.383, 0.383, 0.500], [0.391, 0.609, 0.500], [0.391, 0.783, 0.500], [0.419, 0.209, 0.500], [0.444, 0.556, 0.000], [0.444, 0.888, 0.000], [0.556, 0.112, 0.000], [0.556, 0.444, 0.000], [0.581, 0.791, 0.500], [0.609, 0.217, 0.500], [0.609, 0.391, 0.500], [0.617, 0.000, 0.500], [0.617, 0.617, 0.500], [0.783, 0.391, 0.500], [0.791, 0.209, 0.500], [0.791, 0.581, 0.500], [0.888, 0.444, 0.000]],
  "e_form_ev_per_atom": -1.320,
  "vol_a3_per_cell": 2407
}

# 3
{
  "formula": "AgBi2S3Cl",
  "functional": "PBE",
  "state": "optimized geometry",
  "lattice_angstrom": [[7.851, 0.000, 0.000], [0.000, 4.028, 0.000], [-2.433, 0.000, 10.640]],
  "species": ["Ag", "Ag", "Bi", "Bi", "Bi", "Bi", "S", "S", "S", "S", "S", "S", "Cl", "Cl"],
  "frac_coords": [[0.059, 0.250, 0.406], [0.941, 0.750, 0.594], [0.187, 0.250, 0.927], [0.459, 0.750, 0.654], [0.541, 0.250, 0.346], [0.813, 0.750, 0.073], [0.040, 0.250, 0.146], [0.200, 0.250, 0.662], [0.318, 0.750, 0.414], [0.682, 0.250, 0.586], [0.800, 0.750, 0.338], [0.960, 0.750, 0.854], [0.404, 0.750, 0.102], [0.596, 0.250, 0.898]],
  "e_form_ev_per_atom": -0.709,
  "vol_a3_per_cell": 337
}

# 4
{
  "formula": "Rb2Be3Cd2F12",
  "functional": "PBE",
  "state": "optimized geometry",
  "lattice_angstrom": [[10.620, 0.000, 0.000], [0.000, 10.620, 0.000], [0.000, 0.000, 10.620]],
  "species": ["Rb", "Rb", "Rb", "Rb", "Rb", "Rb", "Rb", "Rb", "Be", "Be", "Be", "Be", "Be", "Be", "Be", "Be", "Be", "Be", "Be", "Be", "Cd", "Cd", "Cd", "Cd", "Cd", "Cd", "Cd", "Cd", "F", "F", "F", "F", "F", "F", "F", "F", "F", "F", "F", "F", "F", "F", "F", "F", "F", "F", "F", "F", "F", "F", "F", "F", "F", "F", "F", "F", "F", "F", "F", "F", "F", "F", "F", "F", "F", "F", "F", "F", "F", "F", "F", "F", "F", "F", "F", "F"],
  "frac_coords": [[0.057, 0.057, 0.057], [0.203, 0.703, 0.797], [0.297, 0.297, 0.297], [0.443, 0.943, 0.557], [0.557, 0.443, 0.943], [0.703, 0.797, 0.203], [0.797, 0.203, 0.703], [0.943, 0.557, 0.443], [0.026, 0.738, 0.125], [0.125, 0.026, 0.738], [0.238, 0.375, 0.974], [0.262, 0.625, 0.474], [0.375, 0.974, 0.238], [0.474, 0.262, 0.625], [0.526, 0.762, 0.875], [0.625, 0.474, 0.262], [0.738, 0.125, 0.026], [0.762, 0.875, 0.526], [0.875, 0.526, 0.762], [0.974, 0.238, 0.375], [0.079, 0.921, 0.421], [0.162, 0.338, 0.662], [0.338, 0.662, 0.162], [0.421, 0.079, 0.921], [0.579, 0.579, 0.579], [0.662, 0.162, 0.338], [0.838, 0.838, 0.838], [0.921, 0.421, 0.079], [0.011, 0.102, 0.333], [0.015, 0.830, 0.239], [0.024, 0.931, 0.790], [0.069, 0.290, 0.476], [0.070, 0.163, 0.741], [0.102, 0.333, 0.011], [0.163, 0.741, 0.070], [0.167, 0.989, 0.602], [0.170, 0.739, 0.485], [0.210, 0.524, 0.569], [0.239, 0.015, 0.830], [0.241, 0.430, 0.837], [0.259, 0.570, 0.337], [0.261, 0.985, 0.330], [0.290, 0.476, 0.069], [0.330, 0.261, 0.985], [0.333, 0.011, 0.102], [0.337, 0.259, 0.570], [0.398, 0.667, 0.511], [0.430, 0.837, 0.241], [0.431, 0.710, 0.976], [0.476, 0.069, 0.290], [0.485, 0.170, 0.739], [0.489, 0.898, 0.833], [0.511, 0.398, 0.667], [0.515, 0.670, 0.761], [0.524, 0.569, 0.210], [0.569, 0.210, 0.524], [0.570, 0.337, 0.259], [0.602, 0.167, 0.989], [0.663, 0.759, 0.930], [0.667, 0.511, 0.398], [0.670, 0.761, 0.515], [0.710, 0.976, 0.431], [0.739, 0.485, 0.170], [0.741, 0.070, 0.163], [0.759, 0.930, 0.663], [0.761, 0.515, 0.670], [0.790, 0.024, 0.931], [0.830, 0.239, 0.015], [0.833, 0.489, 0.898], [0.837, 0.241, 0.430], [0.898, 0.833, 0.489], [0.930, 0.663, 0.759], [0.931, 0.790, 0.024], [0.976, 0.431, 0.710], [0.985, 0.330, 0.261], [0.989, 0.602, 0.167]],
  "e_form_ev_per_atom": -3.140,
  "vol_a3_per_cell": 1198
}

# 5
{
  "formula": "NdP3H6O12",
  "functional": "PBE",
  "state": "optimized geometry",
  "lattice_angstrom": [[6.796, 0.000, 0.000], [-3.398, 5.886, 0.000], [0.000, 0.000, 6.089]],
  "species": ["Nd", "P", "P", "P", "H", "H", "H", "H", "H", "H", "O", "O", "O", "O", "O", "O", "O", "O", "O", "O", "O", "O"],
  "frac_coords": [[0.000, 0.000, 0.000], [0.116, 0.730, 0.500], [0.270, 0.386, 0.500], [0.614, 0.884, 0.500], [0.510, 0.067, 0.125], [0.510, 0.067, 0.875], [0.557, 0.490, 0.125], [0.557, 0.490, 0.875], [0.933, 0.443, 0.125], [0.933, 0.443, 0.875], [0.017, 0.751, 0.287], [0.017, 0.751, 0.713], [0.097, 0.483, 0.500], [0.249, 0.266, 0.287], [0.249, 0.266, 0.713], [0.386, 0.903, 0.500], [0.419, 0.064, 0.000], [0.517, 0.614, 0.500], [0.645, 0.581, 0.000], [0.734, 0.983, 0.287], [0.734, 0.983, 0.713], [0.936, 0.355, 0.000]],
  "e_form_ev_per_atom": -2.261,
  "vol_a3_per_cell": 244
}

# 6
{
  "formula": "Mg6CoSi",
  "functional": "PBE",
  "state": "optimized geometry",
  "lattice_angstrom": [[-3.790, -0.733, 2.712], [2.641, -4.856, 2.379], [4.157, 5.887, 7.401]],
  "species": ["Mg", "Co", "Mg", "Mg", "Mg", "Si", "Mg", "Mg", "Si", "Mg", "Mg", "Co", "Mg", "Mg", "Mg", "Mg"],
  "frac_coords": [[0.500, 0.251, 0.084], [0.500, 0.000, 0.833], [0.000, 0.758, 0.912], [0.000, 0.242, 0.912], [0.500, 0.249, 0.584], [0.500, 0.500, 0.831], [0.000, 0.000, 0.170], [0.000, 0.000, 0.675], [0.500, 0.000, 0.331], [0.000, 0.500, 0.670], [0.000, 0.742, 0.412], [0.500, 0.500, 0.333], [0.000, 0.258, 0.412], [0.500, 0.751, 0.584], [0.000, 0.500, 0.175], [0.500, 0.749, 0.084]],
  "e_above_lowest_polymorph_mev_per_atom": 32,
  "e_form_ev_per_atom": 0.147,
  "vol_a3_per_cell": 293
}

# 7
{
  "formula": "HoB2Rh3",
  "functional": "PBE",
  "state": "optimized geometry",
  "lattice_angstrom": [[5.427, 0.000, 0.000], [-2.714, 4.700, 0.000], [0.000, 0.000, 3.129]],
  "species": ["Ho", "B", "B", "Rh", "Rh", "Rh"],
  "frac_coords": [[0.000, 0.000, 0.000], [0.333, 0.667, 0.000], [0.667, 0.333, 0.000], [0.000, 0.500, 0.500], [0.500, 0.000, 0.500], [0.500, 0.500, 0.500]],
  "e_form_ev_per_atom": -0.707,
  "vol_a3_per_cell": 80
}

# 8
{
  "formula": "AlAg",
  "functional": "PBE",
  "state": "optimized geometry",
  "lattice_angstrom": [[2.967, 0.000, 0.000], [-1.483, 2.569, 0.000], [0.000, 0.000, 4.428]],
  "species": ["Al", "Ag"],
  "frac_coords": [[0.000, 0.000, 0.000], [0.667, 0.333, 0.500]],
  "e_form_ev_per_atom": -0.040,
  "vol_a3_per_cell": 34
}

# 9
{
  "formula": "LiCa2InGe2",
  "functional": "PBE",
  "state": "optimized geometry",
  "lattice_angstrom": [[7.278, 0.000, 0.000], [0.000, 4.458, 0.000], [0.000, 0.000, 16.961]],
  "species": ["Li", "Li", "Li", "Li", "Ca", "Ca", "Ca", "Ca", "Ca", "Ca", "Ca", "Ca", "In", "In", "In", "In", "Ge", "Ge", "Ge", "Ge", "Ge", "Ge", "Ge", "Ge"],
  "frac_coords": [[0.013, 0.250, 0.068], [0.487, 0.750, 0.568], [0.513, 0.250, 0.432], [0.987, 0.750, 0.932], [0.009, 0.250, 0.779], [0.157, 0.250, 0.562], [0.343, 0.750, 0.062], [0.491, 0.750, 0.279], [0.509, 0.250, 0.721], [0.657, 0.250, 0.938], [0.843, 0.750, 0.438], [0.991, 0.750, 0.221], [0.159, 0.250, 0.347], [0.341, 0.750, 0.847], [0.659, 0.250, 0.153], [0.841, 0.750, 0.653], [0.225, 0.750, 0.685], [0.226, 0.250, 0.937], [0.274, 0.750, 0.437], [0.275, 0.250, 0.185], [0.725, 0.750, 0.815], [0.726, 0.250, 0.563], [0.774, 0.750, 0.063], [0.775, 0.250, 0.315]],
  "e_form_ev_per_atom": -0.562,
  "vol_a3_per_cell": 550
}

# 10
{
  "formula": "CaThNb2O8",
  "functional": "PBE",
  "state": "optimized geometry",
  "lattice_angstrom": [[3.645, -5.671, 0.000], [3.645, 5.671, 0.000], [-3.450, 0.000, 3.910]],
  "species": ["Ca", "Th", "Nb", "Nb", "O", "O", "O", "O", "O", "O", "O", "O"],
  "frac_coords": [[0.000, 0.000, 0.000], [0.258, 0.742, 0.500], [0.522, 0.478, 0.000], [0.734, 0.266, 0.500], [0.267, 0.430, 0.093], [0.357, 0.160, 0.558], [0.419, 0.091, 0.050], [0.570, 0.733, 0.907], [0.676, 0.004, 0.583], [0.840, 0.643, 0.442], [0.909, 0.581, 0.950], [0.996, 0.324, 0.417]],
  "e_form_ev_per_atom": -3.516,
  "vol_a3_per_cell": 162
}

# 11
{
  "formula": "RbMgBr3O6",
  "functional": "PBE",
  "state": "optimized geometry",
  "lattice_angstrom": [[6.035, -3.729, 0.000], [6.035, 3.729, 0.000], [-1.926, 0.000, 10.237]],
  "species": ["Rb", "Rb", "Mg", "Mg", "Br", "Br", "Br", "Br", "Br", "Br", "O", "O", "O", "O", "O", "O", "O", "O", "O", "O", "O", "O"],
  "frac_coords": [[0.060, 0.940, 0.750], [0.940, 0.060, 0.250], [0.000, 0.500, 0.000], [0.500, 0.000, 0.500], [0.000, 0.500, 0.500], [0.245, 0.390, 0.782], [0.390, 0.245, 0.282], [0.500, 0.000, 0.000], [0.610, 0.755, 0.718], [0.755, 0.610, 0.218], [0.021, 0.358, 0.801], [0.222, 0.240, 0.571], [0.236, 0.555, 0.931], [0.240, 0.222, 0.071], [0.358, 0.021, 0.301], [0.445, 0.764, 0.569], [0.555, 0.236, 0.431], [0.642, 0.979, 0.699], [0.760, 0.778, 0.929], [0.764, 0.445, 0.069], [0.778, 0.760, 0.429], [0.979, 0.642, 0.199]],
  "e_above_lowest_polymorph_mev_per_atom": 0,
  "e_form_ev_per_atom": -0.862,
  "vol_a3_per_cell": 461
}

# 12
{
  "formula": "MgTi3",
  "functional": "PBE",
  "state": "optimized geometry",
  "lattice_angstrom": [[4.777, 0.000, 0.000], [0.000, 5.844, 0.000], [0.000, 0.000, 5.179]],
  "species": ["Mg", "Mg", "Ti", "Ti", "Ti", "Ti", "Ti", "Ti"],
  "frac_coords": [[0.250, 0.250, 0.161], [0.750, 0.750, 0.839], [0.250, 0.502, 0.656], [0.250, 0.750, 0.167], [0.250, 0.998, 0.656], [0.750, 0.002, 0.344], [0.750, 0.250, 0.833], [0.750, 0.498, 0.344]],
  "e_form_ev_per_atom": 0.135,
  "vol_a3_per_cell": 145
}

no.,mass density (g cm⁻³)
1,16.50
2,2.47
3,6.49
4,3.61
5,2.97
6,2.64
7,10.30
8,6.63
9,4.19
10,6.02
11,3.21
12,3.86